Entry 1:
Density functional theory data (GGA+U) for CaV2Zn2Si2O10 after structural relaxation.

```
17
Lattice="5.3675 0.0000 0.0000 -0.8703 5.5188 0.0000 -2.4045 -2.4289 6.7355" Properties=species:S:1:pos:R:3 pbc="T T T"
Ca 0.0000 0.0000 0.0000
V -1.0318 0.3151 5.8378
V 0.3658 1.5071 2.6473
Zn 1.4506 -0.9188 3.8732
Zn 3.5639 2.6330 1.1183
Si 2.8204 -0.0232 1.1002
Si 3.1252 2.9041 4.0000
O -2.2277 1.8019 5.2001
O 0.1062 2.2942 0.6643
O -0.7385 3.1430 3.3760
O 1.4234 -0.2081 1.9077
O 0.2893 0.5785 4.3629
O 0.1928 -1.2914 6.6608
O 2.4858 4.1252 0.2997
O 2.1354 2.5203 2.7486
O 4.0863 0.4544 1.9932
O 3.2741 -1.2529 4.7022
```

Properties
**Space group**: P1, No. 1
**Formation energy from the elements**: -2.6344 eV per atom
**Offset from the most stable computed form**: 14 meV per atom

***

Entry 2:
Density functional theory data (GGA+U) for CaV2Zn2Si2O10 after structural relaxation.

```
17
Lattice="5.5769 0.0000 0.0000 -0.0161 5.8685 0.0000 -2.5231 -2.1737 6.4926" Properties=species:S:1:pos:R:3 pbc="T T T"
Ca 0.0000 0.0000 0.0000
V 3.3293 0.9757 4.5344
V 4.9112 2.5811 1.6465
Zn -0.2474 -0.2565 6.3985
Zn 2.1742 3.4142 3.1244
Si 0.5530 -0.2974 3.1906
Si 0.4707 2.5053 5.9929
O -2.2760 0.0972 6.3912
O -1.0417 2.3953 5.4217
O -0.5537 -0.2173 4.3781
O 0.4220 0.9013 2.1087
O 0.3898 4.1113 2.3341
O 3.2453 0.2640 0.2378
O 3.2583 3.4867 0.6309
O 2.0975 -0.4881 3.7821
O 1.7208 2.3700 4.9070
O 3.5192 2.0851 2.8778
```

Properties
**Space group**: P1, No. 1
**Formation energy from the elements**: -2.6484 eV per atom
**Offset from the most stable computed form**: 0 meV per atom

***

Entry 3:
Density functional theory data (GGA+U) for CaSi4WO10 after structural relaxation.

```
64
Lattice="7.5995 0.0000 0.0000 0.0000 7.5995 0.0000 0.0000 0.0000 15.5279" Properties=species:S:1:pos:R:3 pbc="T T T"
Ca 1.8999 5.6996 0.0000
Ca 1.8999 5.6996 7.7640
Ca 5.6996 1.8999 0.0000
Ca 5.6996 1.8999 7.7640
Si 0.0148 0.6708 2.3340
Si 0.0148 3.1290 10.0980
Si 0.6708 0.0148 10.0980
Si 0.6708 3.7849 2.3340
Si 3.1290 0.0148 2.3340
Si 3.1290 3.7849 10.0980
Si 3.7849 0.6708 10.0980
Si 3.7849 3.1290 2.3340
Si 3.8146 4.4705 13.1939
Si 3.8146 6.9287 5.4300
Si 4.4705 3.8146 5.4300
Si 4.4705 7.5847 13.1939
Si 6.9287 3.8146 13.1939
Si 6.9287 7.5847 5.4300
Si 7.5847 4.4705 5.4300
Si 7.5847 6.9287 13.1939
W 1.8999 1.8999 6.4880
W 1.8999 1.8999 14.2520
W 5.6996 5.6996 1.2760
W 5.6996 5.6996 9.0399
O 0.0445 1.5064 9.8181
O 0.0445 2.2934 2.0541
O 0.1122 4.8667 1.2778
O 0.1122 6.5325 9.0418
O 0.3893 4.1890 3.8820
O 0.3893 7.2102 11.6460
O 1.0670 3.9119 6.4862
O 1.0670 7.4873 14.2501
O 1.5064 0.0445 2.0541
O 1.5064 3.7552 9.8181
O 2.2934 0.0445 9.8181
O 2.2934 3.7552 2.0541
O 2.7328 3.9119 14.2501
O 2.7328 7.4873 6.4862
O 3.4105 4.1890 11.6460
O 3.4105 7.2102 3.8820
O 3.6875 4.8667 9.0418
O 3.6875 6.5325 1.2778
O 3.7552 1.5064 2.0541
O 3.7552 2.2934 9.8181
O 3.8443 5.3061 5.7098
O 3.8443 6.0931 13.4738
O 3.9119 1.0670 14.2501
O 3.9119 2.7328 6.4862
O 4.1890 0.3893 11.6460
O 4.1890 3.4105 3.8820
O 4.8667 0.1122 9.0418
O 4.8667 3.6875 1.2778
O 5.3061 3.8443 13.4738
O 5.3061 7.5550 5.7098
O 6.0931 3.8443 5.7098
O 6.0931 7.5550 13.4738
O 6.5325 0.1122 1.2778
O 6.5325 3.6875 9.0418
O 7.2102 0.3893 3.8820
O 7.2102 3.4105 11.6460
O 7.4873 1.0670 6.4862
O 7.4873 2.7328 14.2501
O 7.5550 5.3061 13.4738
O 7.5550 6.0931 5.7098
```

Properties
**Space group**: P4/ncc, No. 130
**Formation energy from the elements**: -2.9611 eV per atom